Entry 1:
Computed, not measured: LaMgCrWO6 after structural relaxation at the PBE+U level of DFT.

Computed properties:
ΔE to the lowest computed polymorph in eV/atom: 0.023
Space group: P1, No. 1

```
10
Lattice="-1.283 2.519 -4.640 -4.786 1.789 2.293 0.056 2.965 4.707" Properties=species:S:1:pos:R:3 pbc="T T T"
O -4.133 4.509 5.089
O -1.954 3.753 3.881
O -4.373 4.408 1.308
O -1.648 2.763 1.282
O -4.346 3.693 -1.596
O -1.869 2.849 -2.931
Cr -3.666 6.385 1.226
Mg -3.948 3.441 3.142
W -0.689 1.281 -2.291
La -2.196 3.856 -0.585
```

***

Entry 2:
Computed, not measured: Li4VCr3O8 after structural relaxation at the PBE+U level of DFT.

Computed properties:
ΔE to the lowest computed polymorph in eV/atom: 0.006
Space group: P-1, No. 2

```
32
Lattice="5.148 0.000 0.000 -1.740 -5.692 0.000 -1.733 0.486 -10.131" Properties=species:S:1:pos:R:3 pbc="T T T"
Cr 4.279 -2.068 -1.266
Cr -1.737 -4.915 -1.268
Cr 3.414 -3.359 -3.793
Cr -2.604 -3.139 -8.865
Cr 3.411 -0.292 -8.863
Cr -1.740 -1.847 -6.337
Li 2.574 0.000 0.000
Li -0.032 -3.902 -7.609
Li 0.829 -4.139 -2.526
Li 0.837 -2.603 -5.065
Li 1.707 -1.304 -2.521
Li 1.704 -2.846 0.000
Li 0.846 -1.067 -7.604
Li 1.707 0.243 -5.065
O -0.107 -0.792 -5.696
O 0.737 -1.004 -0.614
O -0.133 -3.848 -0.611
O -0.999 -2.073 -8.216
O -0.128 -2.295 -3.145
O 1.808 -1.358 -9.519
O 3.543 -0.288 -1.920
O 2.656 -1.601 -4.469
O 1.803 -2.911 -6.986
O -0.981 -3.605 -5.661
O 2.674 -3.134 -1.915
O 2.656 -0.077 -6.989
O 1.782 -4.414 -4.435
O 0.938 -4.202 -9.516
O -1.868 -4.918 -8.210
O -0.982 -5.129 -3.142
V 4.281 -0.514 -3.813
V -2.606 -4.692 -6.318
```

***

Entry 3:
Computed, not measured: LiVSiO4 after structural relaxation at the PBE+U level of DFT.

Computed properties:
ΔE to the lowest computed polymorph in eV/atom: 0.009
Space group: Pnma, No. 62

```
28
Lattice="-4.438 -1.607 -1.342 -1.123 7.450 -5.207 2.579 -3.034 -4.897" Properties=species:S:1:pos:R:3 pbc="T T T"
Li -2.609 4.613 -6.266
Li 1.087 2.653 -7.172
Li -4.070 0.156 -4.274
Li -0.373 -1.804 -5.180
Si -0.220 4.257 -4.786
Si -1.311 3.006 -8.654
Si -1.671 -0.197 -2.791
Si -2.762 -1.448 -6.659
O -0.723 5.490 -5.816
O -1.478 2.561 -10.215
O -2.260 -2.681 -5.630
O -1.504 0.248 -1.231
O -3.153 2.774 -5.413
O -0.254 2.923 -5.727
O 0.171 0.035 -6.033
O -2.728 -0.114 -5.719
O -3.056 -1.119 -2.950
O -2.587 3.865 -8.110
O -1.573 1.254 -3.639
O -1.620 -1.419 -7.823
O 0.074 3.928 -8.496
O -1.409 1.555 -7.806
O -1.362 4.227 -3.622
O -0.395 -1.056 -3.336
V -1.491 1.405 -5.722
V -2.781 2.920 -3.274
V -4.437 -1.607 -1.342
V 1.289 -1.516 -2.448
```

***

Entry 4:
Computed, not measured: LiV4O5F7 after structural relaxation at the PBE+U level of DFT.

Computed properties:
ΔE to the lowest computed polymorph in eV/atom: 0.019
Space group: P1, No. 1

```
34
Lattice="1.113 -3.858 3.365 1.800 4.981 1.006 -13.956 1.197 10.056" Properties=species:S:1:pos:R:3 pbc="T T T"
F -5.136 -0.740 7.410
F -4.752 1.079 5.364
F -9.695 1.145 10.200
F -1.588 1.012 4.391
F -0.615 0.036 1.839
F 0.829 -1.956 3.130
F -12.201 1.512 10.772
F -1.212 2.929 2.254
F -2.250 5.024 3.930
F -8.559 -0.796 8.468
F -8.758 -2.643 10.492
F -10.389 2.360 12.602
F -6.199 1.241 9.077
F -5.967 3.083 7.018
O -1.893 -1.517 3.625
O 1.159 0.646 3.802
O -9.145 3.727 10.722
O -2.509 -1.071 6.873
O -3.826 1.603 7.799
O -11.682 4.232 11.173
O -7.243 0.699 6.621
O -2.480 3.013 6.021
O -8.579 3.606 7.539
O -9.901 -0.742 12.176
V 2.746 0.986 4.295
V -10.646 2.968 10.511
V -3.990 -2.173 6.695
V -5.404 1.215 7.288
V -6.861 4.751 7.609
V -0.476 -0.544 3.739
V -9.018 -0.672 10.417
V -1.892 3.022 4.151
Li -2.822 0.659 5.891
Li -11.833 -0.257 11.644
```

***

Entry 5:
Computed, not measured: Sr2MnNbO6 after structural relaxation at the PBE+U level of DFT.

```
40
Lattice="0.000 0.000 -7.899 7.899 0.000 0.000 3.949 -8.385 -3.949" Properties=species:S:1:pos:R:3 pbc="T T T"
O 5.958 -4.185 -3.950
O 5.957 -8.384 -7.898
O 5.958 0.000 -7.898
O 3.949 -6.390 -7.899
O 3.949 -0.001 -2.007
O 1.940 0.000 -7.899
O 7.899 -6.191 -7.899
O 11.848 -8.384 -5.889
O 7.899 -6.391 -3.949
O 9.840 -8.384 -7.898
O 7.899 -4.199 -2.008
O 2.008 -4.200 -7.899
O 3.949 -2.193 -3.949
O 3.949 -4.185 -9.840
O 3.949 -1.994 -7.899
O 3.949 -0.001 -5.890
O 3.949 -6.182 -3.949
O 3.949 -4.185 -5.958
O 11.848 -8.384 -9.907
O 9.841 -4.185 -3.950
O 7.899 -2.202 -7.899
O 7.899 -1.993 -3.950
O 7.899 -4.199 -5.891
O 5.890 -4.200 -7.899
Mn 3.949 -4.194 -7.899
Mn 7.899 -0.001 -0.001
Mn 3.950 0.000 -3.950
Mn 7.898 -4.191 -3.949
Sr 5.922 -2.095 -5.923
Sr 5.925 -6.290 -5.925
Sr 1.977 -2.095 -1.975
Sr 5.922 -2.095 -1.976
Sr 9.872 -6.290 -9.872
Sr 1.977 -2.095 -5.923
Sr 5.925 -6.290 -9.872
Sr 9.872 -6.290 -5.925
Nb 7.898 0.000 -3.948
Nb 3.948 0.000 -7.897
Nb 7.898 -4.196 -7.899
Nb 3.951 -4.189 -3.949
```

***

Entry 6:
Computed, not measured: Li3Mn4B4O12 after structural relaxation at the PBE+U level of DFT.

Computed properties:
ΔE to the lowest computed polymorph in eV/atom: 0.000
Space group: P1, No. 1

```
69
Lattice="9.094 0.000 0.000 -4.541 7.892 0.000 -4.318 -2.748 10.463" Properties=species:S:1:pos:R:3 pbc="T T T"
O 4.169 -1.817 9.037
O -4.053 5.183 8.507
O -1.340 5.513 3.451
O 1.260 5.185 6.731
O -2.312 3.331 3.488
O -5.561 5.186 6.103
O 4.131 4.932 1.742
O -1.688 -2.506 9.556
O 2.012 2.336 0.760
O 3.616 -0.248 6.262
O 3.023 0.162 9.691
O 6.623 -0.083 0.976
O 2.124 6.182 3.520
O 2.333 0.651 3.529
O -1.919 -0.763 7.213
O -0.199 7.394 1.641
O -3.815 6.979 1.148
O 5.853 0.316 4.493
O 2.240 1.475 7.296
O -1.883 4.518 6.870
O -3.469 5.191 4.521
O -2.770 4.839 0.750
O 1.220 -0.500 6.380
O -0.195 2.202 1.740
O -0.862 2.405 6.252
O -3.837 0.325 8.821
O -1.771 2.917 9.571
O -0.589 0.894 8.995
O -3.270 2.652 6.376
O 0.568 2.969 8.911
O -0.914 0.142 3.822
O 3.590 2.711 3.682
O 5.135 1.751 1.273
O 0.688 4.347 1.071
O 1.366 2.617 4.528
O -5.261 3.218 9.235
Li 0.967 4.742 9.559
Li -3.669 2.138 9.523
Li -0.338 0.483 7.038
Li -0.814 5.497 1.559
Li -0.648 0.271 1.813
Li 0.911 -0.560 4.386
Li 3.795 2.986 1.671
Li -3.710 2.290 4.356
Li -0.473 5.842 7.001
B 0.811 2.990 1.199
B 6.922 -0.415 3.954
B -6.646 5.821 6.700
B -3.868 5.605 1.223
B 2.357 0.214 6.649
B -2.339 4.690 3.829
B -5.184 4.557 9.084
B 2.437 1.994 3.923
B 5.343 0.412 1.307
B -0.630 2.253 9.165
B 4.158 -0.452 9.174
B -2.001 3.150 6.514
Mn -2.220 2.836 1.347
Mn -1.932 -0.546 9.214
Mn 2.410 0.305 1.397
Mn 4.045 -0.625 3.999
Mn -3.595 0.628 6.664
Mn 3.570 4.758 3.990
Mn 2.204 1.863 9.225
Mn -3.686 5.218 6.539
Mn 2.196 5.740 1.393
Mn -2.108 4.972 9.285
Mn -0.592 2.206 4.029
Mn 1.126 3.144 6.546
```

***

Entry 7:
Computed, not measured: MgTlV4O10 after structural relaxation at the PBE+U level of DFT.

Computed properties:
ΔE to the lowest computed polymorph in eV/atom: 0.015
Space group: P-1, No. 2

```
16
Lattice="3.804 0.034 0.003 -1.854 5.992 -1.133 0.007 -0.177 9.015" Properties=species:S:1:pos:R:3 pbc="T T T"
O 2.007 4.383 5.047
O 0.011 0.584 7.982
O 0.053 4.366 6.980
O 1.946 5.266 -0.097
O 1.904 1.483 0.906
O 1.940 2.857 7.524
O -0.047 1.970 5.521
O -0.050 1.466 2.839
O 0.017 2.992 0.361
O 2.004 3.880 2.364
V 0.009 1.053 1.144
V 1.917 3.430 0.693
V 1.948 4.796 6.742
V 0.040 2.419 7.192
Mg -0.923 2.908 3.941
Tl 1.905 -0.071 4.509
```

***

Entry 8:
Computed, not measured: K2U3MnO11 after structural relaxation at the PBE+U level of DFT.

Computed properties:
Space group: R-3c, No. 167

```
34
Lattice="-3.438 -5.954 0.000 -6.875 0.000 0.000 -3.438 -1.985 -12.563" Properties=species:S:1:pos:R:3 pbc="T T T"
O -8.586 -5.954 -9.422
O -7.739 -1.496 -9.422
O -6.051 -5.642 -7.516
O -7.700 -1.672 -1.234
O -6.012 -6.443 -3.141
O -7.700 -2.297 -5.047
O -5.298 -2.107 -11.329
O -4.473 -4.404 -1.234
O -9.277 -3.535 -11.329
O -8.736 -3.848 -7.516
O -8.452 -5.832 -1.234
O -3.438 -1.985 -9.015
O -6.875 -3.969 -9.830
O -5.839 -2.419 -7.516
O -7.911 -5.520 -5.047
O -5.015 -4.091 -5.047
O -5.165 -1.985 -3.141
O -4.301 -4.458 -9.422
O -6.875 -3.969 -2.733
O -10.313 -5.954 -3.549
O -9.449 -3.481 -3.141
O -6.051 -6.267 -11.329
U -5.935 -5.954 -9.422
U -7.815 -1.985 -3.141
U -8.124 -5.776 -3.141
U -9.064 -3.791 -9.422
U -5.626 -2.163 -9.422
U -4.686 -4.148 -3.141
K -3.438 -1.985 -0.195
K -3.438 -1.985 -6.087
K -10.313 -5.954 -6.476
K -10.313 -5.954 -12.369
Mn -6.875 -3.969 -6.282
Mn 0.000 0.000 0.000
```

***

Entry 9:
Computed, not measured: Li3Co3P4O16 after structural relaxation at the PBE+U level of DFT.

Computed properties:
ΔE to the lowest computed polymorph in eV/atom: 0.009
Space group: P2_1, No. 4

```
52
Lattice="7.878 0.000 0.000 0.000 8.848 0.000 0.000 3.687 8.554" Properties=species:S:1:pos:R:3 pbc="T T T"
O 7.397 6.201 3.037
O 4.910 4.385 7.264
O 1.496 10.030 3.418
O 2.897 10.039 5.609
O 2.875 3.818 5.213
O 1.156 8.305 5.222
O 4.997 7.077 3.104
O 6.837 2.497 2.946
O 0.461 10.781 5.561
O 5.084 10.577 7.532
O 6.816 5.990 7.565
O 4.439 8.037 7.373
O 2.876 6.545 0.990
O 6.427 7.087 5.194
O 7.293 3.505 7.228
O 5.450 5.304 0.943
O 2.413 11.861 7.689
O 6.352 0.675 0.865
O 6.815 8.995 7.307
O 3.354 9.031 1.327
O 5.095 4.231 3.332
O 0.970 8.151 1.290
O 2.876 3.540 1.247
O 0.500 4.498 1.181
O 1.511 7.231 7.612
O 1.058 5.458 5.451
O 5.435 2.506 5.137
O 6.814 8.717 3.341
O 1.144 1.958 1.022
O 3.458 6.334 5.518
O 2.488 5.448 3.360
O 4.400 1.755 2.994
P 2.518 5.323 4.937
P 2.394 7.995 0.684
P 6.333 4.540 7.871
P 5.437 2.749 3.563
P 6.457 7.212 3.617
P 1.498 9.786 4.991
P 5.364 9.044 7.962
P 1.424 3.491 0.592
Li 2.891 7.978 6.321
Li 6.831 4.558 2.234
Li 1.103 3.650 6.342
Li 5.038 6.382 6.463
Li 1.099 6.154 2.091
Li 5.042 8.886 2.212
Co 0.069 7.028 6.316
Co 2.786 1.839 2.059
Co 4.009 5.507 2.239
Co 3.893 2.804 6.422
Co 6.725 10.696 6.496
Co 7.833 9.731 2.133
```

***

Entry 10:
Computed, not measured: Cr3P6WO24 after structural relaxation at the PBE+U level of DFT.

Computed properties:
Space group: R3, No. 146

```
34
Lattice="0.206 8.373 -2.775 -6.451 5.687 1.973 1.290 6.698 5.597" Properties=species:S:1:pos:R:3 pbc="T T T"
Cr -3.184 13.341 3.082
Cr -1.773 7.427 1.716
Cr -0.710 2.976 0.688
O -1.607 12.371 3.664
O -5.887 9.931 3.382
O -4.245 11.775 3.518
O -3.430 14.006 4.894
O 0.145 9.977 -0.856
O -2.910 5.912 2.158
O -3.342 8.427 1.119
O -0.617 8.316 5.545
O -2.067 8.183 3.494
O -4.793 14.243 2.461
O 0.856 12.678 3.417
O -1.858 11.859 -0.800
O -1.487 6.772 -0.093
O -2.919 12.602 1.306
O -0.069 10.950 4.981
O -4.911 9.792 -0.219
O -5.106 10.746 5.621
O -0.707 9.013 1.306
O -4.304 12.412 -0.760
O 0.976 10.823 1.400
O -3.103 8.872 5.631
O -5.812 8.036 1.392
O -2.066 14.861 2.604
O -0.185 6.514 2.371
P -4.691 8.354 0.405
P -0.315 12.362 4.465
P 0.514 9.559 0.567
P -5.508 11.199 4.137
P -2.863 12.831 -0.195
P -1.993 7.937 5.000
W -4.258 17.838 4.121
```

***

Number 1: volume 12.13 Å³/atom, DFT formation energy -26.957 eV/f.u.. Number 2: volume 9.28 Å³/atom, DFT formation energy -38.717 eV/f.u.. Number 3: volume 10.13 Å³/atom, DFT formation energy -19.811 eV/f.u.. Number 4: volume 12.34 Å³/atom, DFT formation energy -47.312 eV/f.u.. Number 5: volume 13.08 Å³/atom, DFT formation energy -29.851 eV/f.u.. Number 6: volume 10.88 Å³/atom, DFT formation energy -56.871 eV/f.u.. Number 7: volume 12.83 Å³/atom, DFT formation energy -36.966 eV/f.u.. Number 8: volume 15.13 Å³/atom, DFT formation energy -52.974 eV/f.u.. Number 9: volume 11.47 Å³/atom, DFT formation energy -58.571 eV/f.u.. Number 10: volume 13.76 Å³/atom, DFT formation energy -82.379 eV/f.u..